## w
## Rb2TaCuS4 (PBE)

Data for crystalline Rb2TaCuS4 at its relaxed geometry.

Unit cell a=5.613 b=7.468 c=12.483 alpha=85.15 beta=77.01 gamma=67.93
Space group P1 (No. 1)
Symmetry-distinct sites (fractional):
Rb 0.000 0.000 0.000 x1
Rb 0.095 0.496 0.786 x1
Rb 0.339 0.002 0.290 x1
Rb 0.753 0.493 0.498 x1
Ta 0.177 0.993 0.640 x1
Ta 0.931 0.495 0.141 x1
Cu 0.429 0.495 0.145 x1
Cu 0.670 0.998 0.647 x1
S 0.014 0.695 0.252 x1
S 0.082 0.812 0.535 x1
S 0.305 0.308 0.034 x1
S 0.378 0.190 0.538 x1
S 0.450 0.814 0.750 x1
S 0.642 0.687 0.033 x1
S 0.719 0.312 0.253 x1
S 0.771 0.192 0.752 x1

Results
The crystal system is triclinic.

## x
## Rb2TaCuS4 (PBE)

Data for crystalline Rb2TaCuS4 at its relaxed geometry.

Unit cell a=5.613 b=13.842 c=24.327 alpha=90.00 beta=90.00 gamma=90.00
Space group Fddd (No. 70, origin choice 2)
Symmetry-distinct sites (fractional):
Rb 0.125 0.125 0.303 x16
Ta 0.125 0.125 0.125 x8
Cu 0.125 0.125 0.625 x8
S 0.117 0.280 0.428 x32

Results
The crystal system is orthorhombic.

Which of them is the least stable? Correct choice: w.

## w
## Rb2VCuS4 (PBE)

Data for crystalline Rb2VCuS4 at its relaxed geometry.

Unit cell a=5.452 b=13.628 c=23.911 alpha=90.00 beta=90.00 gamma=90.00
Space group Fddd (No. 70, origin choice 2)
Symmetry-distinct sites (fractional):
Rb 0.125 0.125 0.303 x16
V 0.125 0.125 0.125 x8
Cu 0.125 0.125 0.625 x8
S 0.106 0.282 0.427 x32

Results
The crystal system is orthorhombic.

## x
## Rb2VCuS4 (PBE)

Data for crystalline Rb2VCuS4 at its relaxed geometry.

Unit cell a=5.452 b=7.339 c=12.262 alpha=85.26 beta=77.15 gamma=68.19
Space group P1 (No. 1)
Symmetry-distinct sites (fractional):
Rb 0.000 0.000 0.000 x1
Rb 0.109 0.501 0.793 x1
Rb 0.362 0.004 0.288 x1
Rb 0.759 0.498 0.504 x1
V 0.195 0.991 0.644 x1
V 0.940 0.491 0.147 x1
Cu 0.433 0.504 0.144 x1
Cu 0.686 0.004 0.644 x1
S 0.021 0.678 0.252 x1
S 0.096 0.817 0.538 x1
S 0.317 0.315 0.043 x1
S 0.380 0.179 0.543 x1
S 0.452 0.818 0.750 x1
S 0.661 0.685 0.037 x1
S 0.756 0.312 0.249 x1
S 0.815 0.187 0.747 x1

Results
The crystal system is triclinic.

Which of them is the least stable? Correct choice: x.

## w
## Ta3Cu2S6 (PBE)

Data for crystalline Ta3Cu2S6 at its relaxed geometry.

Unit cell a=3.3581 b=3.3581 c=41.7418 alpha=90.00 beta=90.00 gamma=120.00
Space group P3m1 (No. 156)
Symmetry-distinct sites (fractional):
Ta 0.0000 0.0000 0.0000 x1
Ta 0.0000 0.0000 0.3232 x1
Ta 0.0000 0.0000 0.6564 x1
Ta 0.3333 0.6667 0.1617 x1
Ta 0.3333 0.6667 0.4950 x1
Ta 0.3333 0.6667 0.8188 x1
Cu 0.0000 0.0000 0.9295 x1
Cu 0.3333 0.6667 0.2327 x1
Cu 0.3333 0.6667 0.5660 x1
Cu 0.3333 0.6667 0.8893 x1
S 0.0000 0.0000 0.1251 x1
S 0.0000 0.0000 0.2001 x1
S 0.0000 0.0000 0.4585 x1
S 0.0000 0.0000 0.5334 x1
S 0.0000 0.0000 0.7820 x1
S 0.0000 0.0000 0.8564 x1
S 0.3333 0.6667 0.0368 x1
S 0.3333 0.6667 0.2857 x1
S 0.3333 0.6667 0.3594 x1
S 0.3333 0.6667 0.6189 x1
S 0.3333 0.6667 0.6926 x1
S 0.3333 0.6667 0.9624 x1

Results
The crystal system is trigonal.

## x
## Ta3Cu2S6 (PBE)

Data for crystalline Ta3Cu2S6 at its relaxed geometry.

Unit cell a=3.363 b=17.389 c=13.222 alpha=90.00 beta=90.00 gamma=90.00
Space group Cmc2_1 (No. 36)
Symmetry-distinct sites (fractional):
Ta 0.000 0.056 0.000 x4
Ta 0.000 0.278 0.498 x4
Ta 0.000 0.391 0.999 x4
Cu 0.000 0.054 0.786 x4
Cu 0.000 0.278 0.711 x4
S 0.000 0.056 0.618 x4
S 0.000 0.058 0.380 x4
S 0.000 0.279 0.880 x4
S 0.000 0.280 0.117 x4
S 0.000 0.386 0.379 x4
S 0.000 0.392 0.619 x4

Results
The crystal system is orthorhombic.

Which of them is the least stable? Correct choice: w.